No. 1
The following is a DFT calculation (PBE) of RbHfMg14O15 after structural relaxation.

Values from the calculation:
Calculated volume ... 12.16 Å³/atom
ΔE_f ... -2.747 eV/atom
Polymorph energy (0 for the lowest one) ... 2 meV/atom
Total energy ... -5.88 eV/atom
MP2020-corrected energy ... -192.7 eV/cell
M_tot ... 0.168 μB/cell

Cell lengths 4.1412, 8.4367, 10.7913 Å; angles 90.00, 90.00, 90.00 degrees
Closest atoms and distances in Å follow each position.
Element x y z (fractional)
Rb  0.0000  0.0000  0.0000  5 O 2.60-2.75
Hf  0.0000  0.5000  0.0580  4 O 2.00-2.21
Mg  0.0000  0.0000  0.5431  6 O 2.00-2.18
Mg  0.0000  0.2418  0.7478  4 O 2.04-2.10
Mg  0.0000  0.2478  0.3386  5 O 2.07-2.28
Mg  0.0000  0.5000  0.5368  5 O 2.01-2.09
Mg  0.0000  0.7522  0.3386  5 O 2.07-2.28
Mg  0.0000  0.7582  0.7478  4 O 2.04-2.10
Mg  0.5000  0.0000  0.3368  6 O 2.06-2.27
Mg  0.5000  0.0000  0.7358  5 O 2.03-2.09
Mg  0.5000  0.2352  0.1476  4 O 1.98-2.12
Mg  0.5000  0.2548  0.5493  6 O 2.07-2.25
Mg  0.5000  0.5000  0.3300  5 O 2.08-2.16
Mg  0.5000  0.5000  0.7877  3 O 2.17-2.41
Mg  0.5000  0.7452  0.5493  6 O 2.07-2.25
Mg  0.5000  0.7648  0.1476  4 O 1.98-2.12
O  0.0000  0.0000  0.3577  5 Mg 2.00-2.10
O  0.0000  0.0000  0.7455  5 Mg 2.04-2.18
O  0.0000  0.2555  0.5538  5 Mg 2.07-2.16
O  0.0000  0.2813  0.1290  1 Hf 2.00, 2 Mg 2.12
O  0.0000  0.5000  0.3510  5 Mg 2.01-2.13
O  0.0000  0.7187  0.1290  1 Hf 2.00, 2 Mg 2.12
O  0.0000  0.7445  0.5538  5 Mg 2.07-2.16
O  0.5000  0.0000  0.1461  3 Mg 1.98-2.06
O  0.5000  0.0000  0.5475  6 Mg 2.03-2.27
O  0.5000  0.2460  0.7549  5 Mg 2.07-2.22
O  0.5000  0.2541  0.3404  6 Mg 2.07-2.25
O  0.5000  0.5000  0.1294  3 Mg 2.16-2.24, 2 Hf 2.21
O  0.5000  0.5000  0.5643  4 Mg 2.07-2.09
O  0.5000  0.7459  0.3404  6 Mg 2.07-2.25
O  0.5000  0.7540  0.7549  5 Mg 2.07-2.22

No. 2
The following is a DFT calculation (PBE) of RbHfMg6O7 after structural relaxation.

Values from the calculation:
Calculated volume ... 14.99 Å³/atom
ΔE_f ... -2.441 eV/atom
Polymorph energy (0 for the lowest one) ... 161 meV/atom
Total energy ... -5.80 eV/atom
MP2020-corrected energy ... -91.8 eV/cell
M_tot ... 0.778 μB/cell

Cell lengths 4.2291, 4.2291, 12.5683 Å; angles 90.00, 90.00, 90.00 degrees
Closest atoms and distances in Å follow each position.
Element x y z (fractional)
Rb  0.0000  0.0000  0.0000  4 O 2.71
Hf  0.0000  0.0000  0.5036  5 O 1.97-2.12
Mg  0.0000  0.5000  0.2997  2 O 2.14
Mg  0.0000  0.5000  0.7128  1 O 1.91
Mg  0.5000  0.0000  0.2997  2 O 2.14
Mg  0.5000  0.0000  0.7128  1 O 1.91
Mg  0.5000  0.5000  0.5000  6 O 2.12-2.16
Mg  0.5000  0.5000  0.8704  4 O 2.12
O  0.0000  0.0000  0.6604  1 Hf 1.97
O  0.0000  0.5000  0.4919  2 Mg 2.12, 2 Hf 2.12
O  0.0000  0.5000  0.8647  3 Mg 1.91-2.12
O  0.5000  0.0000  0.4919  2 Mg 2.12, 2 Hf 2.12
O  0.5000  0.0000  0.8647  3 Mg 1.91-2.12
O  0.5000  0.5000  0.3282  5 Mg 2.14-2.16
O  0.5000  0.5000  0.6703  5 Mg 2.14-2.18

No. 3
The following is a DFT calculation (PBE) of RbHfMg14O15 after structural relaxation.

Values from the calculation:
Calculated volume ... 11.16 Å³/atom
ΔE_f ... -2.664 eV/atom
Polymorph energy (0 for the lowest one) ... 86 meV/atom
Total energy ... -5.80 eV/atom
MP2020-corrected energy ... -190.1 eV/cell
M_tot ... 1.000 μB/cell

Cell lengths 4.3707, 8.7251, 9.0693 Å; angles 90.00, 90.00, 90.00 degrees
Closest atoms and distances in Å follow each position.
Element x y z (fractional)
Rb  0.0000  0.0000  0.0000  5 O 2.30-2.46
Hf  0.0000  0.5000  0.5370  5 O 2.08-2.22
Mg  0.0000  0.0000  0.5213  2 O 1.92-1.94
Mg  0.0000  0.2417  0.2726  6 O 2.13-2.35
Mg  0.0000  0.2460  0.7866  5 O 2.19-2.32
Mg  0.0000  0.5000  0.0483  2 O 1.92
Mg  0.0000  0.7540  0.7866  5 O 2.19-2.32
Mg  0.0000  0.7583  0.2726  6 O 2.13-2.35
Mg  0.5000  0.0000  0.2912  2 O 1.92-2.12
Mg  0.5000  0.0000  0.7527  5 O 2.07-2.19
Mg  0.5000  0.2452  0.0430  6 O 2.17-2.31
Mg  0.5000  0.2455  0.5261  6 O 2.14-2.38
Mg  0.5000  0.5000  0.2756  6 O 2.12-2.19
Mg  0.5000  0.5000  0.8010  3 O 2.16-2.31
Mg  0.5000  0.7548  0.0430  6 O 2.17-2.31
Mg  0.5000  0.7545  0.5261  6 O 2.14-2.38
O  0.0000  0.0000  0.3075  3 Mg 1.94-2.13
O  0.0000  0.0000  0.7325  1 Mg 1.92
O  0.0000  0.2612  0.5311  1 Hf 2.08, 4 Mg 2.19-2.32
O  0.0000  0.2797  0.0383  2 Mg 1.92-2.15
O  0.0000  0.5000  0.2918  5 Mg 2.19-2.26, 1 Hf 2.22
O  0.0000  0.7203  0.0383  2 Mg 1.92-2.15
O  0.0000  0.7388  0.5311  1 Hf 2.08, 4 Mg 2.19-2.32
O  0.5000  0.0000  0.0797  1 Mg 1.92
O  0.5000  0.0000  0.5247  6 Mg 2.07-2.19
O  0.5000  0.2353  0.7880  5 Mg 2.08-2.31
O  0.5000  0.2546  0.2900  6 Mg 2.14-2.24
O  0.5000  0.5000  0.0389  6 Mg 2.15-2.22
O  0.5000  0.5000  0.5092  3 Mg 2.12-2.23, 2 Hf 2.20
O  0.5000  0.7454  0.2900  6 Mg 2.14-2.24
O  0.5000  0.7647  0.7880  5 Mg 2.08-2.31

No. 4
The following is a DFT calculation (PBE) of RbHfMg14O15 after structural relaxation.

Values from the calculation:
Calculated volume ... 13.13 Å³/atom
ΔE_f ... -2.750 eV/atom
Polymorph energy (0 for the lowest one) ... 0 meV/atom
Total energy ... -5.89 eV/atom
MP2020-corrected energy ... -192.8 eV/cell
M_tot ... 0.331 μB/cell

Cell lengths 4.1728, 7.8354, 12.4513 Å; angles 90.00, 90.00, 90.00 degrees
Closest atoms and distances in Å follow each position.
Element x y z (fractional)
Rb  0.0000  0.0000  0.0000  4 O 2.75-2.91
Hf  0.0000  0.5000  0.0251  5 O 2.00-2.14
Mg  0.0000  0.0000  0.5303  5 O 2.11-2.14
Mg  0.0000  0.2579  0.3039  5 O 2.03-2.19
Mg  0.0000  0.2620  0.7499  4 O 2.09-2.27
Mg  0.0000  0.5000  0.5213  5 O 1.99-2.09
Mg  0.0000  0.7380  0.7499  4 O 2.09-2.27
Mg  0.0000  0.7421  0.3039  5 O 2.03-2.19
Mg  0.5000  0.0000  0.3121  5 O 2.05-2.17
Mg  0.5000  0.0000  0.7414  3 O 2.16
Mg  0.5000  0.2467  0.1397  4 O 1.93-2.14
Mg  0.5000  0.2625  0.5824  5 O 2.01-2.09
Mg  0.5000  0.5000  0.3615  5 O 2.00-2.09
Mg  0.5000  0.5000  0.8335  5 O 2.05-2.27
Mg  0.5000  0.7375  0.5824  5 O 2.01-2.09
Mg  0.5000  0.7533  0.1397  4 O 1.93-2.14
O  0.0000  0.0000  0.3607  5 Mg 2.11-2.17
O  0.0000  0.2599  0.5817  5 Mg 2.03-2.13
O  0.0000  0.3079  0.1310  1 Hf 2.00, 3 Mg 2.14-2.19
O  0.0000  0.5000  0.3611  5 Mg 1.99-2.09
O  0.0000  0.5000  0.8535  4 Mg 2.10-2.27, 1 Hf 2.14
O  0.0000  0.6921  0.1310  1 Hf 2.00, 3 Mg 2.14-2.19
O  0.0000  0.7401  0.5817  5 Mg 2.03-2.13
O  0.5000  0.0000  0.1440  3 Mg 1.93-2.09
O  0.5000  0.0000  0.5679  5 Mg 2.06-2.16
O  0.5000  0.2615  0.3018  5 Mg 2.01-2.09
O  0.5000  0.2761  0.7487  5 Mg 2.05-2.16
O  0.5000  0.5000  0.0159  2 Hf 2.09, 1 Mg 2.27
O  0.5000  0.5000  0.5220  5 Mg 2.00-2.09
O  0.5000  0.7239  0.7487  5 Mg 2.05-2.16
O  0.5000  0.7385  0.3018  5 Mg 2.01-2.09

No. 5
The following is a DFT calculation (PBE) of RbHfMg6O7 after structural relaxation.

Values from the calculation:
Calculated volume ... 15.12 Å³/atom
ΔE_f ... -2.462 eV/atom
Polymorph energy (0 for the lowest one) ... 140 meV/atom
Total energy ... -5.82 eV/atom
MP2020-corrected energy ... -92.1 eV/cell
M_tot ... 0.220 μB/cell

Cell lengths 4.2325, 4.2325, 12.6582 Å; angles 90.00, 90.00, 90.00 degrees
Closest atoms and distances in Å follow each position.
Element x y z (fractional)
Rb  0.0000  0.0000  0.0000  4 O 2.70
Hf  0.0000  0.0000  0.4960  6 O 2.03-2.15
Mg  0.0000  0.5000  0.2843  2 O 2.18
Mg  0.0000  0.5000  0.7155  1 O 1.92
Mg  0.5000  0.0000  0.2843  2 O 2.18
Mg  0.5000  0.0000  0.7155  1 O 1.92
Mg  0.5000  0.5000  0.5211  5 O 2.01-2.15
Mg  0.5000  0.5000  0.8719  4 O 2.12
O  0.0000  0.0000  0.3260  1 Hf 2.15, 4 Mg 2.18
O  0.0000  0.0000  0.6563  1 Hf 2.03, 4 Mg 2.24
O  0.0000  0.5000  0.4929  2 Hf 2.12, 2 Mg 2.15
O  0.0000  0.5000  0.8671  3 Mg 1.92-2.12
O  0.5000  0.0000  0.4929  2 Hf 2.12, 2 Mg 2.15
O  0.5000  0.0000  0.8671  3 Mg 1.92-2.12
O  0.5000  0.5000  0.6800  5 Mg 2.01-2.16

No. 6
The following is a DFT calculation (PBE) of RbHfMg6O7 after structural relaxation.

Values from the calculation:
Calculated volume ... 14.22 Å³/atom
ΔE_f ... -2.602 eV/atom
Polymorph energy (0 for the lowest one) ... 0 meV/atom
Total energy ... -5.96 eV/atom
MP2020-corrected energy ... -94.2 eV/cell
M_tot ... 0.785 μB/cell

Cell lengths 4.1786, 4.1786, 12.2129 Å; angles 90.00, 90.00, 90.00 degrees
Closest atoms and distances in Å follow each position.
Element x y z (fractional)
Rb  0.0000  0.0000  0.0000  5 O 3.10-3.27
Hf  0.5000  0.5000  0.8207  5 O 2.09-2.21
Mg  0.0000  0.0000  0.4497  6 O 2.02-2.22
Mg  0.0000  0.5000  0.2706  3 O 2.09-2.15
Mg  0.0000  0.5000  0.6353  6 O 2.09-2.30
Mg  0.5000  0.0000  0.2706  3 O 2.09-2.15
Mg  0.5000  0.0000  0.6353  6 O 2.09-2.30
Mg  0.5000  0.5000  0.4548  5 O 2.09-2.26
O  0.0000  0.0000  0.2680  5 Mg 2.09-2.22
O  0.0000  0.0000  0.6154  5 Mg 2.02-2.10
O  0.0000  0.5000  0.4469  6 Mg 2.09-2.30
O  0.0000  0.5000  0.8126  2 Hf 2.09, 1 Mg 2.17
O  0.5000  0.0000  0.4469  6 Mg 2.09-2.30
O  0.5000  0.0000  0.8126  2 Hf 2.09, 1 Mg 2.17
O  0.5000  0.5000  0.6399  5 Mg 2.09-2.26, 1 Hf 2.21